[1]
Material: TlHgF3
Method: DFT, GGA-PBE
State: relaxed

Structure (POSCAR):
```
TlHgF3
1.0
4.612 0.000 0.000
0.012 4.618 0.000
0.043 0.121 4.632
Tl Hg F
1 1 3
direct
0.000 0.000 0.000
0.476 0.532 0.452
0.451 0.044 0.380
0.465 0.600 0.938
0.973 0.567 0.401
```

Output
As for the calculated formation energy: -1827 meV/atom. The value obtained for the corrected total energy (MP2020 scheme) is -17.55 eV/f.u.


[2]
Material: GaFe3
Method: DFT, GGA-PBE
State: relaxed

Structure (POSCAR):
```
GaFe3
1.0
0.000 2.892 2.892
2.892 0.000 2.892
2.892 2.892 0.000
Ga Fe
1 3
direct
0.000 0.000 0.000
0.250 0.250 0.250
0.500 0.500 0.500
0.750 0.750 0.750
```

Output
As for the calculated formation energy: -99 meV/atom.


[3]
Material: Na3Ca2Ta4P9O36
Method: DFT, GGA-PBE
State: relaxed

Structure (POSCAR):
```
Na3Ca2Ta4P9O36
1.0
8.897 0.000 0.000
-4.448 7.705 0.000
0.000 0.000 23.104
Na Ca Ta P O
6 4 8 18 72
direct
0.000 0.000 0.000
0.000 0.000 0.500
0.333 0.667 0.154
0.333 0.667 0.654
0.667 0.333 0.328
0.667 0.333 0.828
0.333 0.667 0.014
0.333 0.667 0.514
0.667 0.333 0.190
0.667 0.333 0.690
0.000 0.000 0.142
0.000 0.000 0.352
0.000 0.000 0.642
0.000 0.000 0.852
0.333 0.667 0.312
0.333 0.667 0.812
0.667 0.333 0.482
0.667 0.333 0.982
0.009 0.289 0.250
0.009 0.720 0.750
0.036 0.372 0.914
0.036 0.663 0.414
0.280 0.289 0.750
0.280 0.991 0.250
0.337 0.372 0.414
0.337 0.964 0.914
0.373 0.043 0.584
0.373 0.330 0.084
0.628 0.663 0.914
0.628 0.964 0.414
0.670 0.043 0.084
0.670 0.627 0.584
0.711 0.720 0.250
0.711 0.991 0.750
0.957 0.330 0.584
0.957 0.627 0.084
0.000 0.178 0.303
0.000 0.822 0.803
0.004 0.185 0.899
0.004 0.818 0.399
0.033 0.200 0.195
0.033 0.833 0.695
0.133 0.495 0.860
0.133 0.638 0.360
0.139 0.475 0.575
0.139 0.663 0.075
0.141 0.429 0.968
0.141 0.712 0.468
0.167 0.200 0.695
0.167 0.967 0.195
0.178 0.000 0.303
0.178 0.178 0.803
0.181 0.471 0.258
0.181 0.710 0.758
0.182 0.185 0.399
0.182 0.996 0.899
0.191 0.040 0.589
0.191 0.151 0.089
0.288 0.429 0.468
0.288 0.859 0.968
0.290 0.471 0.758
0.290 0.819 0.258
0.337 0.475 0.075
0.337 0.861 0.575
0.362 0.495 0.360
0.362 0.867 0.860
0.457 0.148 0.252
0.457 0.309 0.752
0.468 0.165 0.527
0.468 0.304 0.027
0.475 0.125 0.637
0.475 0.350 0.137
0.503 0.147 0.920
0.503 0.356 0.420
0.505 0.638 0.860
0.505 0.867 0.360
0.525 0.663 0.575
0.525 0.861 0.075
0.529 0.710 0.258
0.529 0.819 0.758
0.571 0.712 0.968
0.571 0.859 0.468
0.644 0.147 0.420
0.644 0.497 0.920
0.650 0.125 0.137
0.650 0.525 0.637
0.691 0.148 0.752
0.691 0.543 0.252
0.696 0.165 0.027
0.696 0.532 0.527
0.800 0.833 0.195
0.800 0.967 0.695
0.815 0.818 0.899
0.815 0.996 0.399
0.822 0.000 0.803
0.822 0.822 0.303
0.835 0.304 0.527
0.835 0.532 0.027
0.849 0.040 0.089
0.849 0.809 0.589
0.852 0.309 0.252
0.852 0.543 0.752
0.853 0.356 0.920
0.853 0.497 0.420
0.875 0.350 0.637
0.875 0.525 0.137
0.960 0.151 0.589
0.960 0.809 0.089
```

Output
As for the calculated formation energy: -2960 meV/atom. The value obtained for the corrected total energy (MP2020 scheme) is -442.09 eV/f.u.